# 1
SnSe: optimized geometry, PBE.

Size of the total moment in μB per formula unit: 0.00
Final energy in eV/atom: -4.17

a b c (Å): 11.986 4.299 4.279
angles (deg): 90.00 90.00 90.00
Space group Pnma (No. 62)
Asymmetric unit:
Sn  0.127  0.250  0.009 x4
Se  0.144  0.750  0.505 x4

***

# 2
PmNdHg2: optimized geometry, PBE.

Final energy in eV/atom: -3.00

a b c (Å): 7.655 7.655 7.655
angles (deg): 90.00 90.00 90.00
Space group Fm-3m (No. 225)
Asymmetric unit:
Pm  0.000  0.000  0.000 x4
Nd  0.000  0.000  0.500 x4
Hg  0.250  0.250  0.250 x8

***

# 3
RbZnH2Se2ClO6: optimized geometry, PBE.

Size of the total moment in μB per formula unit: 0.00
Final energy in eV/atom: -4.80

a b c (Å): 6.537 6.108 10.948
angles (deg): 90.00 103.17 90.00
Space group P2/c (No. 13)
Asymmetric unit:
Rb  0.000  0.165  0.250 x2
Zn  0.500  0.434  0.750 x2
H  0.068  0.339  0.590 x4
Se  0.297  0.312  0.990 x4
Cl  0.500  0.056  0.750 x2
O  0.036  0.213  0.924 x4
O  0.243  0.457  0.116 x4
O  0.320  0.485  0.386 x4

***

# 4
LiP4Ru2O14: optimized geometry, PBE.

Size of the total moment in μB per formula unit: 3.00
Final energy in eV/atom: -7.10

a b c (Å): 4.861 7.011 7.974
angles (deg): 91.63 92.54 106.39
Space group P-1 (No. 2)
Asymmetric unit:
Li  0.000  0.000  0.000 x1
P  0.027  0.628  0.760 x2
P  0.379  0.772  0.296 x2
Ru  0.000  0.000  0.500 x1
Ru  0.500  0.500  0.000 x1
O  0.106  0.801  0.647 x2
O  0.116  0.322  0.079 x2
O  0.178  0.909  0.292 x2
O  0.197  0.552  0.344 x2
O  0.297  0.560  0.797 x2
O  0.386  0.182  0.563 x2
O  0.483  0.762  0.117 x2

***

# 5
Tm4Ni2C5: optimized geometry, PBE.

Final energy in eV/atom: -7.28

a b c (Å): 3.553 11.470 3.665
angles (deg): 90.00 90.00 90.00
Space group Pmm2 (No. 25)
Asymmetric unit:
Tm  0.000  0.000  0.000 x1
Tm  0.000  0.297  0.705 x2
Tm  0.500  0.500  0.209 x1
Ni  0.500  0.115  0.509 x2
C  0.000  0.500  0.716 x1
C  0.500  0.168  0.010 x2
C  0.500  0.272  0.208 x2

***

# 6
GeH8N2OF6: optimized geometry, PBE.

Size of the total moment in μB per formula unit: 0.00
Final energy in eV/atom: -4.94

a b c (Å): 8.954 9.412 7.482
angles (deg): 90.00 90.00 90.00
Space group Pnma (No. 62)
Asymmetric unit:
Ge  0.157  0.250  0.010 x4
H  0.060  0.564  0.659 x8
H  0.076  0.563  0.350 x8
H  0.109  0.105  0.440 x8
H  0.199  0.750  0.932 x4
H  0.249  0.250  0.633 x4
N  0.029  0.024  0.415 x8
O  0.211  0.250  0.510 x4
F  0.010  0.750  0.846 x4
F  0.084  0.114  0.866 x8
F  0.165  0.750  0.372 x4
F  0.242  0.112  0.153 x8

***

# 7
CaSn4O8: optimized geometry, PBE.

Size of the total moment in μB per formula unit: 0.00
Final energy in eV/atom: -6.08
Excess energy over the best structure of this formula in the dataset in meV/atom: 35

a b c (Å): 6.6326 6.6326 17.2366
angles (deg): 90.00 90.00 120.00
Space group R-3m (No. 166, hexagonal axes)
Asymmetric unit:
Ca  0.0000  0.0000  0.0000 x3
Sn  0.0000  0.0000  0.5000 x3
Sn  0.0000  0.5000  0.5000 x9
O  0.0000  0.0000  0.2280 x6
O  0.0395  0.5197  0.7681 x18

***

# 8
Tb5Bi3: optimized geometry, PBE.

Final energy in eV/atom: -5.05
Excess energy over the best structure of this formula in the dataset in meV/atom: 7

a b c (Å): 8.302 9.587 12.112
angles (deg): 90.00 90.00 90.00
Space group Pnma (No. 62)
Asymmetric unit:
Tb  0.025  0.250  0.012 x4
Tb  0.147  0.750  0.286 x4
Tb  0.187  0.250  0.280 x4
Tb  0.194  0.063  0.558 x8
Bi  0.065  0.004  0.825 x8
Bi  0.091  0.750  0.543 x4

***

# 9
Sr2MgTl: optimized geometry, PBE.

Final energy in eV/atom: -2.09

a b c (Å): 8.235 8.235 8.235
angles (deg): 90.00 90.00 90.00
Space group Fm-3m (No. 225)
Asymmetric unit:
Sr  0.250  0.250  0.250 x8
Mg  0.000  0.000  0.000 x4
Tl  0.000  0.000  0.500 x4

***

# 10
La10Bi8O27: optimized geometry, PBE.

Final energy in eV/atom: -7.24

a b c (Å): 8.199 10.583 10.602
angles (deg): 69.46 78.77 78.77
Space group P1 (No. 1)
Asymmetric unit:
La  0.000  0.000  0.000 x1
La  0.000  0.313  0.679 x1
La  0.166  0.344  0.997 x1
La  0.325  0.351  0.345 x1
La  0.328  0.665  0.031 x1
La  0.501  0.345  0.668 x1
La  0.504  0.005  0.984 x1
La  0.664  0.342  0.000 x1
La  0.828  0.353  0.341 x1
La  0.829  0.673  0.001 x1
Bi  0.164  0.653  0.692 x1
Bi  0.166  0.010  0.324 x1
Bi  0.328  0.013  0.686 x1
Bi  0.505  0.660  0.333 x1
Bi  0.665  0.653  0.692 x1
Bi  0.667  0.011  0.324 x1
Bi  0.827  0.009  0.684 x1
Bi  0.998  0.658  0.332 x1
O  0.029  0.749  0.113 x1
O  0.036  0.435  0.424 x1
O  0.052  0.064  0.742 x1
O  0.112  0.214  0.307 x1
O  0.154  0.605  0.905 x1
O  0.177  0.439  0.738 x1
O  0.225  0.054  0.115 x1
O  0.278  0.605  0.280 x1
O  0.292  0.918  0.905 x1
O  0.299  0.231  0.594 x1
O  0.370  0.413  0.108 x1
O  0.447  0.611  0.607 x1
O  0.459  0.258  0.909 x1
O  0.535  0.440  0.414 x1
O  0.541  0.754  0.103 x1
O  0.549  0.064  0.739 x1
O  0.594  0.604  0.906 x1
O  0.629  0.216  0.305 x1
O  0.690  0.057  0.115 x1
O  0.735  0.439  0.739 x1
O  0.780  0.602  0.277 x1
O  0.787  0.240  0.593 x1
O  0.796  0.930  0.904 x1
O  0.871  0.429  0.090 x1
O  0.882  0.734  0.739 x1
O  0.931  0.952  0.323 x1
O  0.958  0.237  0.930 x1

***

# 11
Al2SiO5: optimized geometry, PBE.

Size of the total moment in μB per formula unit: 0.00
Final energy in eV/atom: -7.54
Excess energy over the best structure of this formula in the dataset in meV/atom: 109

a b c (Å): 3.567 9.286 9.171
angles (deg): 90.00 90.00 90.00
Space group Cmcm (No. 63)
Asymmetric unit:
Al  0.000  0.135  0.067 x8
Si  0.000  0.184  0.750 x4
O  0.000  0.055  0.618 x8
O  0.000  0.260  0.250 x4
O  0.000  0.313  0.590 x8

***

# 12
K2Zn2CuS2O2: optimized geometry, PBE.

Size of the total moment in μB per formula unit: 0.00
Final energy in eV/atom: -3.77

a b c (Å): 4.028 4.028 22.241
angles (deg): 90.00 90.00 90.00
Space group I4/mmm (No. 139)
Asymmetric unit:
K  0.000  0.000  0.076 x4
Zn  0.000  0.500  0.250 x4
Cu  0.000  0.000  0.500 x2
S  0.000  0.000  0.310 x4
O  0.000  0.500  0.000 x4

***

# 13
Er5Ge3: optimized geometry, PBE.

Final energy in eV/atom: -5.39

a b c (Å): 8.4254 8.4254 6.3400
angles (deg): 90.00 90.00 120.00
Space group P6_3/mcm (No. 193)
Asymmetric unit:
Er  0.0000  0.2414  0.2500 x6
Er  0.3333  0.6667  0.0000 x4
Ge  0.0000  0.3940  0.7500 x6

***

# 14
Rb2AlHgCl6: optimized geometry, PBE.

Size of the total moment in μB per formula unit: 0.01
Final energy in eV/atom: -3.14

a b c (Å): 10.534 10.534 10.534
angles (deg): 90.00 90.00 90.00
Space group Fm-3m (No. 225)
Asymmetric unit:
Rb  0.250  0.250  0.250 x8
Al  0.000  0.000  0.000 x4
Hg  0.000  0.000  0.500 x4
Cl  0.000  0.000  0.224 x24

***

# 15
CaMnSb2: optimized geometry, PBE.

Size of the total moment in μB per formula unit: 3.60
Final energy in eV/atom: -5.26

a b c (Å): 4.394 4.394 10.573
angles (deg): 90.00 90.00 90.00
Space group P4/nmm (No. 129, origin choice 2)
Asymmetric unit:
Ca  0.250  0.250  0.236 x2
Mn  0.250  0.750  0.500 x2
Sb  0.250  0.250  0.650 x2
Sb  0.250  0.750  0.000 x2

***

Number 1: ρ 5.95 Mg/m³. Number 2: ρ 10.22 Mg/m³. Number 3: ρ 3.45 Mg/m³. Number 4: ρ 3.55 Mg/m³. Number 5: ρ 9.49 Mg/m³. Number 6: ρ 2.51 Mg/m³. Number 7: ρ 4.88 Mg/m³. Number 8: ρ 9.79 Mg/m³. Number 9: ρ 4.80 Mg/m³. Number 10: ρ 6.93 Mg/m³. Number 11: ρ 3.54 Mg/m³. Number 12: ρ 3.39 Mg/m³. Number 13: ρ 8.98 Mg/m³. Number 14: ρ 3.47 Mg/m³. Number 15: ρ 5.51 Mg/m³.